No. 1
Below is HgTe5H36C12N3O5F25 after structural relaxation, with properties calculated at the GGA-PBE level.

Calculated values
Electronic total energy (eV per atom): -4.869
Crystal system: monoclinic
Size of the total moment (μB/cell): 0.619
Formation energy (meV per atom): -1058.3
Space group: Cc, No. 9

a = 11.316 Å, b = 11.316 Å, c = 16.969 Å
α = 90.34°, β = 90.34°, γ = 83.48°
Positions (direct):
Hg (0.209, 0.791, 0.500)
Hg (0.791, 0.209, 0.000)
Te (0.019, 0.545, 0.541)
Te (0.035, 0.976, 0.008)
Te (0.262, 0.669, 0.294)
Te (0.348, 0.730, 0.704)
Te (0.450, 0.990, 0.476)
Te (0.545, 0.019, 0.041)
Te (0.669, 0.262, 0.794)
Te (0.730, 0.348, 0.204)
Te (0.976, 0.035, 0.508)
Te (0.990, 0.450, 0.976)
H (0.038, 0.204, 0.794)
H (0.048, 0.270, 0.319)
H (0.050, 0.211, 0.688)
H (0.058, 0.287, 0.177)
H (0.073, 0.092, 0.238)
H (0.092, 0.073, 0.738)
H (0.160, 0.366, 0.807)
H (0.167, 0.361, 0.330)
H (0.172, 0.373, 0.702)
H (0.178, 0.217, 0.375)
H (0.178, 0.377, 0.188)
H (0.196, 0.245, 0.127)
H (0.204, 0.038, 0.294)
H (0.211, 0.050, 0.188)
H (0.217, 0.178, 0.875)
H (0.245, 0.196, 0.627)
H (0.259, 0.660, 0.006)
H (0.270, 0.048, 0.819)
H (0.287, 0.058, 0.677)
H (0.304, 0.355, 0.762)
H (0.308, 0.464, 0.063)
H (0.314, 0.488, 0.922)
H (0.355, 0.304, 0.262)
H (0.361, 0.167, 0.830)
H (0.366, 0.160, 0.307)
H (0.368, 0.718, 0.067)
H (0.373, 0.172, 0.202)
H (0.374, 0.736, 0.962)
H (0.377, 0.178, 0.688)
H (0.395, 0.459, 0.563)
H (0.418, 0.522, 0.125)
H (0.420, 0.466, 0.421)
H (0.429, 0.564, 0.878)
H (0.459, 0.395, 0.063)
H (0.464, 0.308, 0.563)
H (0.466, 0.420, 0.921)
H (0.488, 0.314, 0.422)
H (0.496, 0.614, 0.503)
H (0.522, 0.418, 0.625)
H (0.564, 0.429, 0.378)
H (0.574, 0.623, 0.066)
H (0.578, 0.642, 0.961)
H (0.614, 0.496, 0.003)
H (0.623, 0.574, 0.566)
H (0.623, 0.816, 0.318)
H (0.631, 0.837, 0.214)
H (0.642, 0.578, 0.461)
H (0.644, 0.847, 0.833)
H (0.660, 0.259, 0.506)
H (0.665, 0.691, 0.255)
H (0.670, 0.859, 0.691)
H (0.691, 0.665, 0.755)
H (0.718, 0.368, 0.567)
H (0.736, 0.374, 0.462)
H (0.755, 0.945, 0.849)
H (0.759, 0.967, 0.339)
H (0.768, 0.987, 0.235)
H (0.770, 0.803, 0.896)
H (0.781, 0.958, 0.706)
H (0.803, 0.770, 0.396)
H (0.816, 0.623, 0.818)
H (0.816, 0.825, 0.649)
H (0.825, 0.816, 0.149)
H (0.837, 0.631, 0.714)
H (0.847, 0.644, 0.333)
H (0.859, 0.670, 0.191)
H (0.901, 0.951, 0.292)
H (0.945, 0.755, 0.349)
H (0.951, 0.901, 0.792)
H (0.958, 0.781, 0.206)
H (0.967, 0.759, 0.839)
H (0.987, 0.768, 0.735)
C (0.089, 0.170, 0.742)
C (0.144, 0.269, 0.324)
C (0.155, 0.286, 0.181)
C (0.170, 0.089, 0.242)
C (0.213, 0.334, 0.756)
C (0.269, 0.144, 0.824)
C (0.286, 0.155, 0.681)
C (0.334, 0.213, 0.256)
C (0.352, 0.677, 0.010)
C (0.402, 0.479, 0.068)
C (0.408, 0.504, 0.925)
C (0.479, 0.402, 0.568)
C (0.504, 0.408, 0.425)
C (0.558, 0.582, 0.009)
C (0.582, 0.558, 0.509)
C (0.670, 0.786, 0.264)
C (0.677, 0.352, 0.510)
C (0.739, 0.852, 0.843)
C (0.766, 0.865, 0.699)
C (0.786, 0.670, 0.764)
C (0.807, 0.938, 0.286)
C (0.852, 0.739, 0.343)
C (0.865, 0.766, 0.199)
C (0.938, 0.807, 0.786)
N (0.201, 0.215, 0.251)
N (0.215, 0.201, 0.751)
N (0.430, 0.561, 0.003)
N (0.561, 0.430, 0.503)
N (0.798, 0.807, 0.273)
N (0.807, 0.798, 0.773)
O (0.054, 0.681, 0.494)
O (0.074, 0.938, 0.443)
O (0.309, 0.686, 0.604)
O (0.312, 0.685, 0.395)
O (0.329, 0.933, 0.529)
O (0.681, 0.054, 0.994)
O (0.685, 0.312, 0.895)
O (0.686, 0.309, 0.104)
O (0.933, 0.329, 0.029)
O (0.938, 0.074, 0.943)
F (0.028, 0.956, 0.604)
F (0.042, 0.524, 0.068)
F (0.054, 0.575, 0.922)
F (0.055, 0.590, 0.646)
F (0.085, 0.148, 0.525)
F (0.128, 0.587, 0.318)
F (0.130, 0.907, 0.924)
F (0.135, 0.875, 0.075)
F (0.148, 0.085, 0.025)
F (0.148, 0.370, 0.966)
F (0.159, 0.815, 0.289)
F (0.172, 0.457, 0.532)
F (0.213, 0.648, 0.188)
F (0.225, 0.859, 0.715)
F (0.252, 0.627, 0.756)
F (0.352, 0.517, 0.279)
F (0.370, 0.148, 0.466)
F (0.387, 0.742, 0.247)
F (0.390, 0.771, 0.809)
F (0.396, 0.956, 0.372)
F (0.405, 0.976, 0.090)
F (0.457, 0.172, 0.032)
F (0.458, 0.838, 0.677)
F (0.476, 0.968, 0.946)
F (0.480, 0.609, 0.714)
F (0.517, 0.352, 0.779)
F (0.524, 0.042, 0.568)
F (0.555, 0.846, 0.474)
F (0.575, 0.054, 0.422)
F (0.587, 0.128, 0.818)
F (0.590, 0.055, 0.146)
F (0.607, 0.857, 0.060)
F (0.609, 0.480, 0.214)
F (0.627, 0.252, 0.256)
F (0.648, 0.213, 0.688)
F (0.742, 0.387, 0.747)
F (0.771, 0.390, 0.309)
F (0.815, 0.159, 0.789)
F (0.838, 0.458, 0.177)
F (0.846, 0.555, 0.974)
F (0.846, 0.942, 0.503)
F (0.857, 0.607, 0.560)
F (0.859, 0.225, 0.215)
F (0.875, 0.135, 0.575)
F (0.907, 0.130, 0.424)
F (0.942, 0.846, 0.003)
F (0.956, 0.028, 0.104)
F (0.956, 0.396, 0.872)
F (0.968, 0.476, 0.446)
F (0.976, 0.405, 0.590)

---

No. 2
Below is Cd3Se4 after structural relaxation, with properties calculated at the GGA-PBE level.

Calculated values
Electronic total energy (eV per atom): -2.709
Crystal system: monoclinic
E above lowest polymorph (kcal/mol of atoms): 0.000
Size of the total moment (μB/cell): 0.001
Formation energy (meV per atom): -585.9
Space group: Cm, No. 8

a = 12.014 Å, b = 12.014 Å, c = 8.953 Å
α = 100.68°, β = 100.68°, γ = 41.55°
Positions (direct):
Cd (0.034, 0.644, 0.178)
Cd (0.093, 0.548, 0.686)
Cd (0.183, 0.817, 0.000)
Cd (0.255, 0.732, 0.523)
Cd (0.359, 0.977, 0.352)
Cd (0.463, 0.856, 0.850)
Cd (0.548, 0.093, 0.686)
Cd (0.644, 0.034, 0.178)
Cd (0.732, 0.255, 0.523)
Cd (0.817, 0.183, 0.000)
Cd (0.856, 0.463, 0.850)
Cd (0.977, 0.359, 0.352)
Se (0.058, 0.485, 0.922)
Se (0.260, 0.952, 0.582)
Se (0.273, 0.273, 0.431)
Se (0.285, 0.592, 0.747)
Se (0.294, 0.596, 0.240)
Se (0.396, 0.820, 0.089)
Se (0.485, 0.058, 0.922)
Se (0.592, 0.285, 0.747)
Se (0.596, 0.294, 0.240)
Se (0.606, 0.606, 0.606)
Se (0.624, 0.927, 0.410)
Se (0.820, 0.396, 0.089)
Se (0.927, 0.624, 0.410)
Se (0.941, 0.941, 0.753)
Se (0.944, 0.944, 0.231)
Se (0.952, 0.260, 0.582)

---

No. 3
Below is MgTe2MoW2Se2S2 after structural relaxation, with properties calculated at the GGA-PBE level.

Calculated values
Electronic total energy (eV per atom): -6.376
Crystal system: monoclinic
E above lowest polymorph (kcal/mol of atoms): 0.389
Size of the total moment (μB/cell): 0.001
Formation energy (meV per atom): -485.4
Space group: Cm, No. 8

a = 3.353 Å, b = 3.353 Å, c = 36.624 Å
α = 90.24°, β = 90.24°, γ = 60.00°
Positions (direct):
Mg (0.000, 0.000, 0.000)
Te (0.001, 0.001, 0.401)
Te (0.998, 0.998, 0.297)
Mo (0.998, 0.998, 0.126)
W (0.667, 0.667, 0.349)
W (0.667, 0.667, 0.882)
Se (0.664, 0.664, 0.080)
Se (0.667, 0.667, 0.172)
S (0.001, 0.001, 0.923)
S (0.999, 0.999, 0.841)